No. 1
{
  "formula": "U8CoS17",
  "functional": "meta-GGA r2SCAN",
  "state": "optimized geometry",
  "lattice": [[-5.204, -4.877, -3.396], [2.587, -3.692, -6.487], [3.018, -8.929, 4.187]],
  "species": ["U", "U", "U", "U", "U", "U", "U", "U", "Co", "S", "S", "S", "S", "S", "S", "S", "S", "S", "S", "S", "S", "S", "S", "S", "S", "S"],
  "frac_coords": [[0.186, 0.698, 0.709], [0.698, 0.186, 0.709], [0.814, 0.302, 0.291], [0.302, 0.814, 0.291], [0.205, 0.205, 0.545], [0.795, 0.795, 0.455], [0.684, 0.684, 0.981], [0.316, 0.316, 0.019], [0.000, 0.000, 0.000], [0.825, 0.430, 0.534], [0.430, 0.825, 0.534], [0.175, 0.570, 0.466], [0.570, 0.175, 0.466], [0.057, 0.677, 0.975], [0.677, 0.057, 0.975], [0.943, 0.323, 0.025], [0.323, 0.943, 0.025], [0.053, 0.053, 0.780], [0.947, 0.947, 0.220], [0.208, 0.208, 0.279], [0.792, 0.792, 0.721], [0.302, 0.302, 0.755], [0.698, 0.698, 0.245], [0.519, 0.519, 0.831], [0.481, 0.481, 0.169], [0.000, 0.000, 0.500]],
  "formation_enthalpy_0k_mev_per_atom": -1721
}

***

No. 2
{
  "formula": "Zr2CoS4",
  "functional": "meta-GGA r2SCAN",
  "state": "optimized geometry",
  "lattice": [[1.830, 6.621, 0.031], [-1.830, 6.621, 0.031], [0.000, 2.950, 5.596]],
  "species": ["Zr", "Zr", "Co", "S", "S", "S", "S"],
  "frac_coords": [[0.501, 0.501, 0.492], [0.002, 0.002, 0.005], [0.677, 0.677, 0.997], [0.373, 0.373, 0.291], [0.874, 0.874, 0.786], [0.627, 0.627, 0.703], [0.135, 0.135, 0.202]],
  "formation_enthalpy_0k_mev_per_atom": -1486
}

***

Asked for calculated density across the records above, the calculation gives 7.30, 4.54 g/cm3 in order.